Record 1
The following is a DFT calculation (meta-GGA r2SCAN) of DyLuZn2 after structural relaxation.

Cell lengths 4.958, 4.958, 4.958 Å; angles 60.00, 60.00, 60.00 degrees
Element x y z (fractional)
1 Zn 0.750 0.750 0.750
2 Zn 0.250 0.250 0.250
3 Lu 0.000 0.000 0.000
4 Dy 0.500 0.500 0.500

## Properties
DFT total energy	-89.46	eV per cell
calculated volume	21.54	Å³/atom


Record 2
The following is a DFT calculation (meta-GGA r2SCAN) of DyMg3 after structural relaxation.

Cell lengths 6.666, 6.666, 5.154 Å; angles 90.00, 90.00, 120.00 degrees
Element x y z (fractional)
1 Mg 0.837 0.674 0.750
2 Mg 0.326 0.163 0.750
3 Mg 0.163 0.326 0.250
4 Mg 0.674 0.837 0.250
5 Mg 0.163 0.837 0.250
6 Mg 0.837 0.163 0.750
7 Dy 0.333 0.667 0.750
8 Dy 0.667 0.333 0.250

## Properties
DFT total energy	-89.52	eV per cell
calculated volume	24.79	Å³/atom


Record 3
The following is a DFT calculation (meta-GGA r2SCAN) of DyMg after structural relaxation.

Cell lengths 3.783, 3.783, 3.783 Å; angles 90.00, 90.00, 90.00 degrees
Element x y z (fractional)
1 Mg 0.000 0.000 0.000
2 Dy 0.500 0.500 0.500

## Properties
DFT total energy	-36.34	eV per cell
calculated volume	27.07	Å³/atom